Entry 1:
{
  "formula": "CsScAgF6",
  "functional": "GGA-PBE",
  "state": "optimized geometry",
  "ef_mev_per_atom": -3059,
  "final_energy_ev_per_cell": -92.6,
  "vol_a3_per_atom": 19.5,
  "lattice": [[-6.1129, 0.9452, 5.0446], [-2.8940, 6.1808, -4.1390], [1.4301, -7.0712, -3.4151]],
  "species": ["F", "F", "F", "F", "F", "F", "F", "F", "F", "F", "F", "F", "Ag", "Ag", "Cs", "Cs", "Sc", "Sc"],
  "fractional_positions": [[0.9371, 0.1871, 0.7500], [0.7003, 0.4503, 0.2500], [0.0794, 0.4264, 0.2720], [0.0629, 0.8129, 0.2500], [0.3457, 0.5736, 0.1530], [0.9206, 0.5736, 0.7280], [0.9206, 0.1927, 0.3470], [0.2997, 0.5497, 0.7500], [0.3457, 0.1927, 0.7720], [0.6543, 0.8073, 0.2280], [0.6543, 0.4264, 0.8470], [0.0794, 0.8073, 0.6530], [0.0000, 0.0000, 0.5000], [0.0000, 0.5000, 0.0000], [0.6267, 0.8767, 0.7500], [0.3733, 0.1233, 0.2500], [0.0000, 0.5000, 0.5000], [0.5000, 0.5000, 0.0000]]
}



Entry 2:
{
  "formula": "RbC3S2O4F6",
  "functional": "GGA-PBE",
  "state": "optimized geometry",
  "ef_mev_per_atom": -1459,
  "final_energy_ev_per_cell": -344.2,
  "vol_a3_per_atom": 17.3,
  "lattice": [[2.7352, 11.8190, 0.0000], [-2.7352, 11.8190, 0.0000], [0.0000, 2.8669, 17.0825]],
  "species": ["F", "F", "F", "F", "F", "F", "F", "F", "F", "F", "F", "F", "F", "F", "F", "F", "F", "F", "F", "F", "F", "F", "F", "F", "O", "O", "O", "O", "O", "O", "O", "O", "O", "O", "O", "O", "O", "O", "O", "O", "S", "S", "S", "S", "S", "S", "S", "S", "C", "C", "C", "C", "C", "C", "C", "C", "C", "C", "C", "C", "Rb", "Rb", "Rb", "Rb"],
  "fractional_positions": [[0.4536, 0.1636, 0.7500], [0.8444, 0.4769, 0.6373], [0.5464, 0.8364, 0.2500], [0.9643, 0.4343, 0.9003], [0.8364, 0.5464, 0.7500], [0.6767, 0.9921, 0.4760], [0.9444, 0.6599, 0.5566], [0.3233, 0.0079, 0.5240], [0.5657, 0.0357, 0.5997], [0.1970, 0.2048, 0.6878], [0.4343, 0.9643, 0.4003], [0.2048, 0.1970, 0.1878], [0.5231, 0.1556, 0.8627], [0.9921, 0.6767, 0.9760], [0.1636, 0.4536, 0.2500], [0.6599, 0.9444, 0.0566], [0.7952, 0.8030, 0.8122], [0.0556, 0.3401, 0.4434], [0.3401, 0.0556, 0.9434], [0.8030, 0.7952, 0.3122], [0.1556, 0.5231, 0.3627], [0.4769, 0.8444, 0.1373], [0.0079, 0.3233, 0.0240], [0.0357, 0.5657, 0.0997], [0.3455, 0.7937, 0.4445], [0.5945, 0.2769, 0.7307], [0.0943, 0.7597, 0.5196], [0.9800, 0.8689, 0.8042], [0.7231, 0.4055, 0.7693], [0.2403, 0.9057, 0.9804], [0.1311, 0.0200, 0.6958], [0.2063, 0.6545, 0.0555], [0.6545, 0.2063, 0.5555], [0.2769, 0.5945, 0.2307], [0.7597, 0.0943, 0.0196], [0.0200, 0.1311, 0.1958], [0.9057, 0.2403, 0.4804], [0.8689, 0.9800, 0.3042], [0.7937, 0.3455, 0.9445], [0.4055, 0.7231, 0.2693], [0.1985, 0.9874, 0.2545], [0.9382, 0.8732, 0.0716], [0.9874, 0.1985, 0.7545], [0.0126, 0.8015, 0.2455], [0.8015, 0.0126, 0.7455], [0.0618, 0.1268, 0.9284], [0.8732, 0.9382, 0.5716], [0.1268, 0.0618, 0.4284], [0.9486, 0.8635, 0.6634], [0.2422, 0.0966, 0.4495], [0.8635, 0.9486, 0.1634], [0.0966, 0.2422, 0.9495], [0.0514, 0.1365, 0.3366], [0.3666, 0.9667, 0.2052], [0.9667, 0.3666, 0.7052], [0.9034, 0.7578, 0.0505], [0.0333, 0.6334, 0.2948], [0.6334, 0.0333, 0.7948], [0.7578, 0.9034, 0.5505], [0.1365, 0.0514, 0.8366], [0.5041, 0.4328, 0.3896], [0.5672, 0.4959, 0.1104], [0.4959, 0.5672, 0.6104], [0.4328, 0.5041, 0.8896]]
}



Entry 3:
{
  "formula": "Gd2O3",
  "functional": "GGA-PBE",
  "state": "optimized geometry",
  "ef_mev_per_atom": -3895,
  "final_energy_ev_per_cell": -483.3,
  "vol_a3_per_atom": 16.0,
  "lattice": [[4.1102, 7.4103, 4.0847], [-9.1700, -0.0505, 2.0976], [3.9799, -7.9220, 3.1456]],
  "species": ["Gd", "Gd", "Gd", "Gd", "Gd", "Gd", "Gd", "Gd", "Gd", "Gd", "Gd", "Gd", "Gd", "Gd", "Gd", "Gd", "O", "O", "O", "O", "O", "O", "O", "O", "O", "O", "O", "O", "O", "O", "O", "O", "O", "O", "O", "O", "O", "O", "O", "O"],
  "fractional_positions": [[0.2500, 0.2186, 0.9686], [0.7500, 0.7814, 0.0314], [0.0000, 0.5000, 0.0000], [0.7186, 0.4686, 0.2500], [0.9686, 0.2500, 0.2186], [0.0000, 0.0000, 0.5000], [0.2186, 0.9686, 0.2500], [0.0314, 0.7500, 0.7814], [0.2500, 0.7186, 0.4686], [0.5000, 0.0000, 0.0000], [0.7814, 0.0314, 0.7500], [0.5000, 0.5000, 0.5000], [0.7500, 0.2814, 0.5314], [0.2814, 0.5314, 0.7500], [0.4686, 0.2500, 0.7186], [0.5314, 0.7500, 0.2814], [0.9703, 0.5119, 0.2408], [0.7705, 0.5415, 0.5297], [0.7711, 0.7295, 0.2592], [0.4703, 0.2295, 0.4585], [0.2289, 0.2705, 0.7408], [0.2295, 0.4585, 0.4703], [0.0297, 0.4881, 0.7592], [0.2711, 0.0119, 0.0415], [0.5415, 0.5297, 0.7705], [0.2408, 0.9703, 0.5119], [0.5297, 0.7705, 0.5415], [0.7295, 0.2592, 0.7711], [0.4881, 0.7592, 0.0297], [0.7289, 0.9881, 0.9585], [0.0415, 0.2711, 0.0119], [0.5119, 0.2408, 0.9703], [0.4585, 0.4703, 0.2295], [0.9585, 0.7289, 0.9881], [0.2592, 0.7711, 0.7295], [0.0119, 0.0415, 0.2711], [0.2705, 0.7408, 0.2289], [0.9881, 0.9585, 0.7289], [0.7592, 0.0297, 0.4881], [0.7408, 0.2289, 0.2705]]
}



Entry 4:
{
  "formula": "Sr3Er2Ge3O12",
  "functional": "GGA-PBE",
  "state": "optimized geometry",
  "ef_mev_per_atom": -3103,
  "final_energy_ev_per_cell": -565.1,
  "vol_a3_per_atom": 14.4,
  "lattice": [[-5.9019, 2.9349, 9.3485], [-3.1504, 6.6645, -8.7464], [-2.1344, -10.9377, -2.5790]],
  "species": ["Ge", "Ge", "Ge", "Ge", "Ge", "Ge", "Ge", "Ge", "Ge", "Ge", "Ge", "Ge", "Sr", "Sr", "Sr", "Sr", "Sr", "Sr", "Sr", "Sr", "Sr", "Sr", "Sr", "Sr", "O", "O", "O", "O", "O", "O", "O", "O", "O", "O", "O", "O", "O", "O", "O", "O", "O", "O", "O", "O", "O", "O", "O", "O", "O", "O", "O", "O", "O", "O", "O", "O", "O", "O", "O", "O", "O", "O", "O", "O", "O", "O", "O", "O", "O", "O", "O", "O", "Er", "Er", "Er", "Er", "Er", "Er", "Er", "Er"],
  "fractional_positions": [[0.1250, 0.8750, 0.2500], [0.2500, 0.6250, 0.3750], [0.8750, 0.1250, 0.7500], [0.1250, 0.7500, 0.8750], [0.3750, 0.6250, 0.7500], [0.6250, 0.7500, 0.3750], [0.8750, 0.2500, 0.1250], [0.6250, 0.3750, 0.2500], [0.7500, 0.8750, 0.1250], [0.2500, 0.1250, 0.8750], [0.3750, 0.2500, 0.6250], [0.7500, 0.3750, 0.6250], [0.2500, 0.3750, 0.1250], [0.3750, 0.1250, 0.2500], [0.8750, 0.6250, 0.2500], [0.1250, 0.3750, 0.7500], [0.1250, 0.2500, 0.3750], [0.2500, 0.8750, 0.6250], [0.7500, 0.1250, 0.3750], [0.6250, 0.2500, 0.8750], [0.7500, 0.6250, 0.8750], [0.8750, 0.7500, 0.6250], [0.6250, 0.8750, 0.7500], [0.3750, 0.7500, 0.1250], [0.5882, 0.8920, 0.3807], [0.6962, 0.1080, 0.9887], [0.1962, 0.2075, 0.5882], [0.5113, 0.3920, 0.8038], [0.3920, 0.8038, 0.5113], [0.9118, 0.2925, 0.3038], [0.8807, 0.9887, 0.7925], [0.5113, 0.6193, 0.7075], [0.4887, 0.6080, 0.1962], [0.4887, 0.3807, 0.2925], [0.1193, 0.6080, 0.9118], [0.5882, 0.1962, 0.2075], [0.6962, 0.0882, 0.7075], [0.6080, 0.1962, 0.4887], [0.7075, 0.5113, 0.6193], [0.2925, 0.4887, 0.3807], [0.7925, 0.8807, 0.9887], [0.9887, 0.7925, 0.8807], [0.6080, 0.9118, 0.1193], [0.2925, 0.3038, 0.9118], [0.4118, 0.8038, 0.7925], [0.3807, 0.2925, 0.4887], [0.0113, 0.3038, 0.8920], [0.1080, 0.6193, 0.4118], [0.8038, 0.5113, 0.3920], [0.9118, 0.1193, 0.6080], [0.7075, 0.6962, 0.0882], [0.3038, 0.9118, 0.2925], [0.9887, 0.6962, 0.1080], [0.2075, 0.5882, 0.1962], [0.8807, 0.3920, 0.0882], [0.1962, 0.4887, 0.6080], [0.2075, 0.1193, 0.0113], [0.1193, 0.0113, 0.2075], [0.8920, 0.0113, 0.3038], [0.0882, 0.7075, 0.6962], [0.0113, 0.2075, 0.1193], [0.8920, 0.3807, 0.5882], [0.6193, 0.7075, 0.5113], [0.6193, 0.4118, 0.1080], [0.1080, 0.9887, 0.6962], [0.3038, 0.8920, 0.0113], [0.0882, 0.8807, 0.3920], [0.7925, 0.4118, 0.8038], [0.4118, 0.1080, 0.6193], [0.8038, 0.7925, 0.4118], [0.3920, 0.0882, 0.8807], [0.3807, 0.5882, 0.8920], [0.0000, 0.0000, 0.5000], [0.0000, 0.5000, 0.0000], [0.5000, 0.0000, 0.5000], [0.0000, 0.0000, 0.0000], [0.5000, 0.5000, 0.0000], [0.5000, 0.5000, 0.5000], [0.5000, 0.0000, 0.0000], [0.0000, 0.5000, 0.5000]]
}



Entry 5:
{
  "formula": "MnB2Mo2",
  "functional": "GGA-PBE",
  "state": "optimized geometry",
  "ef_mev_per_atom": -462,
  "final_energy_ev_per_cell": -93.0,
  "vol_a3_per_atom": 10.5,
  "lattice": [[-4.3193, -1.1519, 3.6852], [-2.0634, -3.9851, -3.6641], [1.7673, -2.1901, 1.3868]],
  "species": ["Mo", "Mo", "Mo", "Mo", "Mn", "Mn", "B", "B", "B", "B"],
  "fractional_positions": [[0.3227, 0.8227, 0.5000], [0.6773, 0.1773, 0.5000], [0.8227, 0.6773, 0.5000], [0.1773, 0.3227, 0.5000], [0.5000, 0.5000, 0.0000], [0.0000, 0.0000, 0.0000], [0.1140, 0.6140, 0.0000], [0.8860, 0.3860, 0.0000], [0.3860, 0.1140, 0.0000], [0.6140, 0.8860, 0.0000]]
}



Entry 6:
{
  "formula": "LiPr2Zn2P2O2",
  "functional": "GGA-PBE",
  "state": "optimized geometry",
  "ef_mev_per_atom": -1588,
  "final_energy_ev_per_cell": -47.6,
  "polymorph_energy_ev_per_fu": 1.20,
  "vol_a3_per_atom": 18.1,
  "lattice": [[-5.4964, -2.2205, 9.7311], [-1.7474, -3.6157, 10.6634], [-2.6165, 0.3765, 11.0847]],
  "species": ["P", "P", "Pr", "Pr", "Zn", "Zn", "Li", "O", "O"],
  "fractional_positions": [[0.1170, 0.1170, 0.1166], [0.8876, 0.8876, 0.8876], [0.6147, 0.6147, 0.6147], [0.3666, 0.3666, 0.3661], [0.2007, 0.2007, 0.2009], [0.8170, 0.8170, 0.8179], [0.7515, 0.7515, 0.7504], [0.2988, 0.2988, 0.2987], [0.6945, 0.6945, 0.6940]]
}